The following is a DFT calculation (PBE) of a relaxed Fe7S8 crystal.

Results
The value obtained for the offset from the most stable computed form is 0.0 kJ/mol of atoms. The calculation puts the spin magnetization at 0.20 μB/atom. The energy of formation is -650 meV per atom. Its final energy is -6.5401 eV/atom.

Lattice parameters (Å, degrees): 6.5821 6.5821 15.5669 90.00 90.00 120.00
Space group P3_121 (No. 152)
Inequivalent atoms, fractional coordinates:
Fe 0.0000 0.0188 0.1667
Fe 0.0000 0.0835 0.6667
Fe 0.0000 0.4391 0.1667
Fe 0.0148 0.5897 0.8132
Fe 0.0518 0.5352 0.3482
S 0.1188 0.2926 0.0640
S 0.1345 0.7885 0.0808
S 0.1482 0.3644 0.7615
S 0.2981 0.6485 0.9129